(1)
## Ca3SiH14CSO10 (PBE-GGA)

Data for a relaxed structure of Ca3SiH14CSO10.

a b c (Å): 9.154 9.154 10.025
angles (deg): 90.00 90.00 120.00
Atoms (fractional coordinates):
1 H 0.182 0.608 0.796
2 O 0.000 0.000 0.626
3 O 0.301 0.511 0.195
4 O 0.511 0.211 0.695
5 O 0.178 0.026 0.394
6 O 0.798 0.294 0.056
7 H 0.398 0.261 0.450
8 H 0.667 0.333 0.281
9 O 0.505 0.798 0.556
10 O 0.822 0.974 0.894
11 O 0.026 0.849 0.894
12 H 0.455 0.827 0.719
13 C 0.667 0.333 0.693
14 S 0.667 0.333 0.015
15 H 0.449 0.356 0.456
16 Ca 0.196 0.243 0.252
17 H 0.333 0.667 0.781
18 H 0.667 0.333 0.881
19 H 0.356 0.908 0.956
20 H 0.372 0.545 0.719
21 O 0.211 0.699 0.195
22 Si 0.000 0.000 0.960
23 H 0.261 0.863 0.950
24 H 0.392 0.574 0.796
25 H 0.602 0.739 0.950
26 Ca 0.804 0.757 0.752
27 O 0.974 0.151 0.394
28 H 0.333 0.667 0.381
29 H 0.827 0.372 0.219
30 H 0.628 0.455 0.219
31 H 0.173 0.628 0.719
32 Ca 0.048 0.804 0.252
33 O 0.489 0.789 0.195
34 H 0.818 0.392 0.296
35 H 0.574 0.182 0.296
36 H 0.545 0.173 0.219
37 H 0.137 0.398 0.950
38 O 0.849 0.822 0.394
39 C 0.333 0.667 0.193
40 O 0.789 0.301 0.695
41 H 0.739 0.137 0.450
42 O 0.000 0.000 0.126
43 S 0.333 0.667 0.515
44 H 0.551 0.644 0.956
45 H 0.092 0.449 0.956
46 O 0.202 0.706 0.556
47 H 0.644 0.092 0.456
48 O 0.706 0.505 0.056
49 O 0.294 0.495 0.556
50 O 0.495 0.202 0.056
51 Si 0.000 0.000 0.460
52 H 0.863 0.602 0.450
53 H 0.908 0.551 0.456
54 Ca 0.952 0.196 0.752
55 O 0.699 0.489 0.695
56 Ca 0.243 0.048 0.752
57 Ca 0.757 0.952 0.252
58 H 0.426 0.818 0.796
59 O 0.151 0.178 0.894
60 H 0.608 0.426 0.296

The symmetry is No. 173. Its crystal system is hexagonal. The formation energy is -1.2767 eV per atom.

---

(2)
## Ca4Si2H2CO11 (PBE-GGA)

Data for a relaxed structure of Ca4Si2H2CO11.

a b c (Å): 23.630 7.643 11.656
angles (deg): 71.06 90.00 90.00
Atoms (fractional coordinates):
1 Si 0.414 0.476 0.376
2 Si 0.782 0.018 0.128
3 O 0.242 0.187 0.875
4 O 0.947 0.262 0.726
5 O 0.951 0.863 0.523
6 O 0.050 0.880 0.996
7 Ca 0.306 0.597 0.060
8 Si 0.914 0.524 0.124
9 O 0.240 0.400 0.008
10 O 0.644 0.690 0.875
11 Ca 0.690 0.722 0.304
12 Ca 0.806 0.403 0.440
13 O 0.357 0.064 0.625
14 O 0.551 0.761 0.226
15 O 0.897 0.312 0.127
16 Ca 0.045 0.811 0.625
17 O 0.258 0.187 0.375
18 Ca 0.957 0.434 0.875
19 O 0.758 0.464 0.247
20 Ca 0.543 0.434 0.375
21 Ca 0.457 0.566 0.625
22 Ca 0.809 0.223 0.807
23 Si 0.586 0.524 0.624
24 O 0.549 0.625 0.504
25 Ca 0.454 0.310 0.128
26 O 0.867 0.815 0.622
27 O 0.103 0.688 0.873
28 O 0.359 0.556 0.632
29 O 0.633 0.815 0.122
30 O 0.258 0.974 0.244
31 H 0.347 0.774 0.206
32 Ca 0.954 0.690 0.372
33 O 0.051 0.239 0.274
34 H 0.353 0.110 0.537
35 Si 0.718 0.607 0.622
36 O 0.648 0.000 0.631
37 O 0.950 0.120 0.004
38 O 0.397 0.688 0.373
39 Ca 0.808 0.905 0.444
40 Si 0.782 0.607 0.122
41 Si 0.914 0.102 0.126
42 Ca 0.455 0.811 0.125
43 O 0.048 0.492 0.757
44 O 0.449 0.239 0.774
45 Ca 0.310 0.278 0.696
46 O 0.758 0.026 0.256
47 H 0.647 0.890 0.463
48 Ca 0.545 0.189 0.875
49 O 0.148 0.376 0.876
50 Ca 0.955 0.189 0.375
51 O 0.133 0.185 0.378
52 O 0.242 0.536 0.753
53 Ca 0.544 0.938 0.377
54 Ca 0.456 0.062 0.623
55 O 0.452 0.492 0.257
56 Si 0.414 0.898 0.374
57 C 0.921 0.813 0.624
58 C 0.919 0.314 0.623
59 H 0.153 0.774 0.706
60 H 0.152 0.600 0.046
61 O 0.242 0.974 0.744
62 Ca 0.692 0.905 0.944
63 C 0.579 0.813 0.124
64 O 0.760 0.161 0.001
65 Ca 0.192 0.095 0.556
66 O 0.240 0.839 0.999
67 O 0.049 0.137 0.477
68 O 0.856 0.690 0.375
69 H 0.853 0.890 0.963
70 O 0.053 0.738 0.274
71 O 0.953 0.001 0.244
72 O 0.859 0.444 0.868
73 O 0.865 0.314 0.621
74 O 0.451 0.137 0.977
75 H 0.848 0.400 0.954
76 Si 0.282 0.982 0.372
77 Ca 0.309 0.777 0.693
78 O 0.447 0.738 0.774
79 Ca 0.191 0.777 0.193
80 C 0.419 0.686 0.877
81 H 0.648 0.735 0.786
82 O 0.952 0.508 0.243
83 O 0.852 0.000 0.131
84 O 0.260 0.839 0.499
85 C 0.581 0.314 0.123
86 O 0.635 0.314 0.121
87 O 0.740 0.161 0.501
88 O 0.258 0.536 0.253
89 O 0.547 0.001 0.744
90 O 0.260 0.400 0.508
91 O 0.148 0.000 0.869
92 O 0.049 0.375 0.996
93 O 0.352 0.000 0.369
94 C 0.421 0.187 0.876
95 O 0.643 0.182 0.880
96 O 0.549 0.863 0.023
97 O 0.857 0.182 0.380
98 O 0.852 0.624 0.124
99 O 0.949 0.761 0.726
100 Si 0.718 0.018 0.628
101 O 0.548 0.508 0.743
102 Si 0.282 0.393 0.378
103 Ca 0.546 0.690 0.872
104 O 0.603 0.312 0.627
105 O 0.551 0.365 0.023
106 O 0.135 0.686 0.379
107 H 0.348 0.600 0.546
108 H 0.652 0.400 0.454
109 C 0.081 0.686 0.377
110 O 0.357 0.818 0.120
111 O 0.143 0.818 0.620
112 O 0.742 0.813 0.625
113 O 0.449 0.635 0.977
114 O 0.365 0.686 0.879
115 H 0.148 0.265 0.714
116 Ca 0.691 0.223 0.307
117 Si 0.218 0.982 0.872
118 O 0.760 0.600 0.992
119 O 0.742 0.464 0.747
120 Ca 0.043 0.566 0.125
121 O 0.742 0.026 0.756
122 H 0.147 0.110 0.037
123 O 0.143 0.064 0.125
124 O 0.367 0.185 0.878
125 O 0.648 0.624 0.624
126 Ca 0.956 0.938 0.877
127 O 0.857 0.936 0.875
128 O 0.553 0.262 0.226
129 Si 0.086 0.898 0.874
130 Ca 0.046 0.310 0.628
131 O 0.352 0.376 0.376
132 C 0.079 0.187 0.376
133 H 0.352 0.265 0.214
134 O 0.047 0.999 0.756
135 O 0.453 0.999 0.256
136 O 0.758 0.813 0.125
137 O 0.450 0.880 0.496
138 O 0.051 0.635 0.477
139 O 0.451 0.375 0.496
140 O 0.141 0.556 0.132
141 O 0.641 0.444 0.368
142 Ca 0.044 0.062 0.123
143 Si 0.586 0.102 0.626
144 Ca 0.810 0.722 0.804
145 Si 0.086 0.476 0.876
146 Ca 0.694 0.403 0.940
147 H 0.847 0.226 0.294
148 O 0.951 0.625 0.004
149 Ca 0.194 0.597 0.560
150 Si 0.218 0.393 0.878
151 Ca 0.308 0.095 0.056
152 Ca 0.190 0.278 0.196
153 O 0.949 0.365 0.523
154 O 0.356 0.310 0.125
155 O 0.740 0.600 0.492
156 O 0.144 0.310 0.625
157 O 0.643 0.936 0.375
158 O 0.550 0.120 0.504
159 H 0.852 0.735 0.286
160 H 0.653 0.226 0.794

The symmetry is No. 14. Its crystal system is monoclinic. The formation energy is -2.9391 eV per atom.

---

(3)
## Ca2Y2Si4H2CO16 (PBE-GGA)

Data for a relaxed structure of Ca2Y2Si4H2CO16.

a b c (Å): 6.827 13.134 14.437
angles (deg): 90.00 90.00 90.00
Atoms (fractional coordinates):
1 O 0.671 0.250 0.838
2 Y 0.611 0.557 0.720
3 H 0.514 0.250 0.621
4 H 0.820 0.750 0.816
5 Si 0.160 0.869 0.430
6 O 0.978 0.610 0.362
7 O 0.256 0.750 0.923
8 O 0.562 0.594 0.216
9 O 0.369 0.250 0.619
10 Ca 0.197 0.079 0.048
11 C 0.117 0.250 0.875
12 O 0.114 0.250 0.785
13 Si 0.389 0.630 0.147
14 O 0.706 0.053 0.329
15 Si 0.889 0.370 0.353
16 O 0.022 0.390 0.638
17 O 0.846 0.447 0.081
18 H 0.680 0.750 0.316
19 O 0.206 0.947 0.171
20 Ca 0.303 0.421 0.548
21 O 0.171 0.750 0.662
22 O 0.522 0.890 0.862
23 O 0.117 0.164 0.917
24 O 0.154 0.947 0.919
25 O 0.942 0.386 0.465
26 O 0.386 0.250 0.285
27 O 0.522 0.610 0.862
28 Y 0.389 0.443 0.280
29 Si 0.611 0.370 0.853
30 Y 0.889 0.557 0.220
31 O 0.558 0.114 0.965
32 O 0.022 0.110 0.638
33 O 0.438 0.094 0.784
34 Y 0.611 0.943 0.720
35 Ca 0.697 0.921 0.452
36 O 0.058 0.886 0.535
37 O 0.438 0.406 0.784
38 O 0.244 0.750 0.423
39 Y 0.889 0.943 0.220
40 O 0.206 0.553 0.171
41 O 0.794 0.053 0.829
42 H 0.180 0.250 0.184
43 O 0.617 0.664 0.583
44 Si 0.160 0.631 0.430
45 O 0.131 0.250 0.119
46 Si 0.340 0.631 0.930
47 O 0.829 0.250 0.338
48 Ca 0.303 0.079 0.548
49 O 0.654 0.447 0.581
50 Si 0.840 0.369 0.570
51 Ca 0.803 0.579 0.952
52 Y 0.111 0.443 0.780
53 O 0.978 0.890 0.362
54 O 0.383 0.164 0.417
55 H 0.014 0.750 0.879
56 O 0.442 0.614 0.035
57 O 0.346 0.947 0.419
58 O 0.117 0.336 0.917
59 O 0.942 0.114 0.465
60 Si 0.611 0.130 0.853
61 O 0.058 0.614 0.535
62 O 0.869 0.750 0.881
63 Si 0.111 0.870 0.647
64 C 0.617 0.750 0.625
65 Si 0.340 0.869 0.930
66 O 0.631 0.750 0.381
67 Ca 0.197 0.421 0.048
68 O 0.756 0.250 0.577
69 Si 0.840 0.131 0.570
70 O 0.846 0.053 0.081
71 O 0.883 0.836 0.083
72 C 0.383 0.250 0.375
73 O 0.938 0.906 0.716
74 O 0.442 0.886 0.035
75 Si 0.111 0.630 0.647
76 O 0.154 0.553 0.919
77 O 0.294 0.947 0.671
78 O 0.383 0.336 0.417
79 Ca 0.803 0.921 0.952
80 C 0.883 0.750 0.125
81 O 0.794 0.447 0.829
82 Si 0.889 0.130 0.353
83 O 0.886 0.750 0.215
84 O 0.329 0.750 0.162
85 Si 0.660 0.131 0.070
86 O 0.654 0.053 0.581
87 H 0.320 0.250 0.684
88 O 0.614 0.750 0.715
89 O 0.883 0.664 0.083
90 O 0.744 0.250 0.077
91 O 0.558 0.386 0.965
92 Y 0.111 0.057 0.780
93 O 0.478 0.110 0.138
94 Y 0.389 0.057 0.280
95 O 0.346 0.553 0.419
96 O 0.938 0.594 0.716
97 O 0.062 0.094 0.284
98 O 0.706 0.447 0.329
99 O 0.617 0.836 0.583
100 O 0.062 0.406 0.284
101 H 0.486 0.750 0.379
102 Si 0.660 0.369 0.070
103 O 0.294 0.553 0.671
104 Si 0.389 0.870 0.147
105 O 0.562 0.906 0.216
106 Ca 0.697 0.579 0.452
107 H 0.986 0.250 0.121
108 O 0.478 0.390 0.138

The symmetry is No. 62. Its crystal system is orthorhombic. The formation energy is -3.1345 eV per atom.

---

(4)
## K2CaC2O6 (PBE-GGA)

Data for a relaxed structure of K2CaC2O6.

a b c (Å): 6.945 6.945 6.945
angles (deg): 46.14 46.14 46.14
Atoms (fractional coordinates):
1 Ca 0.000 0.000 0.000
2 K 0.210 0.210 0.210
3 O 0.688 0.273 0.273
4 C 0.589 0.589 0.589
5 O 0.727 0.727 0.312
6 C 0.411 0.411 0.411
7 O 0.273 0.273 0.688
8 O 0.727 0.312 0.727
9 O 0.312 0.727 0.727
10 O 0.273 0.688 0.273
11 K 0.790 0.790 0.790

The symmetry is No. 166. Its crystal system is trigonal. The formation energy is -2.3939 eV per atom.

---

(5)
## K2Ca2C3O9 (PBE-GGA)

Data for a relaxed structure of K2Ca2C3O9.

a b c (Å): 8.166 8.166 8.166
angles (deg): 108.02 108.02 108.02
Atoms (fractional coordinates):
1 Ca 0.492 0.828 0.975
2 O 0.526 0.281 0.284
3 C 0.733 0.066 0.820
4 C 0.820 0.733 0.066
5 O 0.896 0.188 0.846
6 C 0.198 0.385 0.584
7 O 0.281 0.284 0.526
8 O 0.942 0.663 0.107
9 O 0.028 0.303 0.575
10 O 0.650 0.283 0.572
11 O 0.283 0.572 0.650
12 Ca 0.828 0.975 0.492
13 O 0.670 0.640 0.898
14 O 0.284 0.526 0.281
15 O 0.898 0.670 0.640
16 O 0.188 0.846 0.896
17 K 0.445 0.300 0.903
18 O 0.640 0.898 0.670
19 Ca 0.553 0.553 0.553
20 C 0.385 0.584 0.198
21 O 0.663 0.107 0.942
22 C 0.066 0.820 0.733
23 O 0.303 0.575 0.028
24 O 0.846 0.896 0.188
25 C 0.584 0.198 0.385
26 O 0.572 0.650 0.283
27 K 0.903 0.445 0.300
28 K 0.300 0.903 0.445
29 Ca 0.975 0.492 0.828
30 O 0.575 0.028 0.303
31 O 0.107 0.942 0.663
32 K 0.129 0.129 0.129

The symmetry is No. 146. Its crystal system is trigonal. The formation energy is -2.4758 eV per atom.

---

(6)
## Li3CaPCO7 (PBE-GGA)

Data for a relaxed structure of Li3CaPCO7.

a b c (Å): 6.953 4.928 8.921
angles (deg): 85.91 90.00 90.00
Atoms (fractional coordinates):
1 Li 0.750 0.256 0.922
2 C 0.750 0.716 0.037
3 O 0.750 0.962 0.078
4 Li 0.950 0.768 0.738
5 O 0.250 0.776 0.569
6 O 0.750 0.605 0.601
7 O 0.928 0.169 0.688
8 P 0.250 0.713 0.400
9 O 0.250 0.332 0.106
10 Li 0.450 0.232 0.262
11 Ca 0.750 0.762 0.349
12 P 0.750 0.287 0.600
13 Li 0.050 0.232 0.262
14 O 0.250 0.038 0.922
15 O 0.250 0.491 0.865
16 C 0.250 0.284 0.963
17 O 0.750 0.224 0.431
18 Ca 0.250 0.238 0.651
19 O 0.750 0.668 0.894
20 Li 0.250 0.744 0.078
21 O 0.750 0.509 0.135
22 Li 0.550 0.768 0.738
23 O 0.572 0.169 0.688
24 O 0.072 0.831 0.312
25 O 0.428 0.831 0.312
26 O 0.250 0.395 0.399

The symmetry is No. 11. Its crystal system is monoclinic. The formation energy is -2.6468 eV per atom.